(1)
VASP calculation (r²SCAN) on a relaxed LiLuIn2 crystal.

Computed properties:
Formation energy from the elements in eV per atom: -0.446
Calculated volume in A^3/atom: 22.66
VASP energy in eV/cell: -87.407

Cell: 5.0424 5.0424 5.0424 Å, 60.00 60.00 60.00°
Closest atoms and distances in Å follow each position.
Positions (direct):
Li1 0.5000 0.5000 0.5000  8 In 3.09
Lu1 0.0000 0.0000 0.0000  8 In 3.09
In1 0.7500 0.7500 0.7500  4 Li 3.09, 4 Lu 3.09
In2 0.2500 0.2500 0.2500  4 Li 3.09, 4 Lu 3.09

=====

(2)
VASP calculation (r²SCAN) on a relaxed Li2LuIn crystal.

Computed properties:
Formation energy from the elements in eV per atom: -0.330
Calculated volume in A^3/atom: 18.90
VASP energy in eV/cell: -66.751

Cell: 4.7463 4.7463 4.7463 Å, 60.00 60.00 60.00°
Closest atoms and distances in Å follow each position.
Positions (direct):
Li1 0.2500 0.2500 0.2500  4 In 2.91, 4 Lu 2.91
Li2 0.7500 0.7500 0.7500  4 In 2.91, 4 Lu 2.91
Lu1 0.0000 0.0000 0.0000  8 Li 2.91
In1 0.5000 0.5000 0.5000  8 Li 2.91

=====

(3)
VASP calculation (r²SCAN) on a relaxed Li2MgIn crystal.

Computed properties:
Formation energy from the elements in eV per atom: -0.281
Calculated volume in A^3/atom: 18.28
VASP energy in eV/cell: -32.645

Cell: 4.6941 4.6941 4.6941 Å, 60.00 60.00 60.00°
Closest atoms and distances in Å follow each position.
Positions (direct):
Li1 0.7500 0.7500 0.7500  4 In 2.87, 4 Mg 2.87
Li2 0.2500 0.2500 0.2500  4 In 2.87, 4 Mg 2.87
Mg1 0.5000 0.5000 0.5000  8 Li 2.87
In1 0.0000 0.0000 0.0000  8 Li 2.87

=====

(4)
VASP calculation (r²SCAN) on a relaxed LiMgIn2 crystal.

Computed properties:
Formation energy from the elements in eV per atom: -0.126
Calculated volume in A^3/atom: 22.19
VASP energy in eV/cell: -52.218

Cell: 5.0073 5.0073 5.0073 Å, 60.00 60.00 60.00°
Closest atoms and distances in Å follow each position.
Positions (direct):
Li1 0.5000 0.5000 0.5000  4 In 3.07, 4 Mg 3.07
Mg1 0.2500 0.2500 0.2500  4 Li 3.07, 4 In 3.07
In1 0.0000 0.0000 0.0000  4 In 3.07, 4 Mg 3.07
In2 0.7500 0.7500 0.7500  4 In 3.07, 4 Li 3.07

=====

(5)
VASP calculation (r²SCAN) on a relaxed Li2PmIn crystal.

Computed properties:
Formation energy from the elements in eV per atom: -0.411
Calculated volume in A^3/atom: 20.94
VASP energy in eV/cell: -58.535

Cell: 4.9112 4.9112 4.9112 Å, 60.00 60.00 60.00°
Closest atoms and distances in Å follow each position.
Positions (direct):
Li1 0.0000 0.0000 0.0000  4 In 3.01, 4 Pm 3.01
Li2 0.5000 0.5000 0.5000  4 In 3.01, 4 Pm 3.01
Pm1 0.7500 0.7500 0.7500  8 Li 3.01
In1 0.2500 0.2500 0.2500  8 Li 3.01

=====

(6)
VASP calculation (r²SCAN) on a relaxed Li2PrIn crystal.

Computed properties:
Formation energy from the elements in eV per atom: -0.409
Calculated volume in A^3/atom: 21.68
VASP energy in eV/cell: -58.391

Cell: 4.9676 4.9673 4.9688 Å, 60.02 60.02 60.02°
Closest atoms and distances in Å follow each position.
Positions (direct):
Li1 0.0000 0.0000 0.0001  4 Pr 3.04, 4 In 3.04
Li2 0.5001 0.5001 0.4999  4 In 3.04-3.05, 4 Pr 3.04-3.05
Pr1 0.7502 0.7502 0.7493  8 Li 3.04-3.05
In1 0.2497 0.2498 0.2507  8 Li 3.04-3.05

=====

(7)
VASP calculation (r²SCAN) on a relaxed LiIn2Pt crystal.

Computed properties:
Formation energy from the elements in eV per atom: -0.602
Calculated volume in A^3/atom: 17.51
VASP energy in eV/cell: -101.441

Cell: 4.6266 4.6266 4.6266 Å, 60.00 60.00 60.00°
Closest atoms and distances in Å follow each position.
Positions (direct):
Li1 0.0000 0.0000 0.0000  8 In 2.83
In1 0.2500 0.2500 0.2500  4 Pt 2.83, 4 Li 2.83
In2 0.7500 0.7500 0.7500  4 Li 2.83, 4 Pt 2.83
Pt1 0.5000 0.5000 0.5000  8 In 2.83

=====

(8)
VASP calculation (r²SCAN) on a relaxed LiIn2Rh crystal.

Computed properties:
Formation energy from the elements in eV per atom: -0.500
Calculated volume in A^3/atom: 16.94
VASP energy in eV/cell: -73.682

Cell: 4.5764 4.5764 4.5764 Å, 60.00 60.00 60.00°
Closest atoms and distances in Å follow each position.
Positions (direct):
Li1 0.0000 0.0000 0.0000  8 In 2.80
In1 0.2500 0.2500 0.2500  4 Rh 2.80, 4 Li 2.80
In2 0.7500 0.7500 0.7500  4 Li 2.80, 4 Rh 2.80
Rh1 0.5000 0.5000 0.5000  8 In 2.80

=====

(9)
VASP calculation (r²SCAN) on a relaxed Li2InRh crystal.

Computed properties:
Formation energy from the elements in eV per atom: -0.417
Calculated volume in A^3/atom: 15.35
VASP energy in eV/cell: -53.158

Cell: 4.4284 4.4284 4.4284 Å, 60.00 60.00 60.00°
Closest atoms and distances in Å follow each position.
Positions (direct):
Li1 0.5000 0.5000 0.5000  4 Li 2.71, 4 In 2.71
Li2 0.2500 0.2500 0.2500  4 Rh 2.71, 4 Li 2.71
In1 0.7500 0.7500 0.7500  4 Li 2.71, 4 Rh 2.71
Rh1 0.0000 0.0000 0.0000  4 In 2.71, 4 Li 2.71

=====

(10)
VASP calculation (r²SCAN) on a relaxed LiInS2 crystal.

Computed properties:
Formation energy from the elements in eV per atom: -1.128
Calculated volume in A^3/atom: 22.85
VASP energy in eV/cell: -182.177

Cell: 6.5204 6.9305 8.0886 Å, 90.00 90.00 90.00°
Closest atoms and distances in Å follow each position.
Positions (direct):
Li1 0.5668 0.5853 0.1224  4 S 2.44-2.45
Li2 0.0668 0.4147 0.8776  4 S 2.44-2.45
Li3 0.0668 0.9147 0.6224  4 S 2.44-2.45
Li4 0.5668 0.0853 0.3776  4 S 2.44-2.45
In1 0.0642 0.9187 0.1256  4 S 2.47-2.48
In2 0.5642 0.0813 0.8744  4 S 2.47-2.48
In3 0.5642 0.5813 0.6256  4 S 2.47-2.48
In4 0.0642 0.4187 0.3744  4 S 2.47-2.48
S1 0.1921 0.0830 0.3766  2 Li 2.44-2.45, 2 In 2.47
S2 0.6921 0.9170 0.6234  2 Li 2.44-2.45, 2 In 2.47
S3 0.6921 0.4170 0.8766  2 Li 2.44-2.45, 2 In 2.47
S4 0.1921 0.5830 0.1234  2 Li 2.44-2.45, 2 In 2.47
S5 0.6841 0.9195 0.1283  2 Li 2.44, 2 In 2.47-2.48
S6 0.1841 0.0805 0.8717  2 Li 2.44, 2 In 2.47-2.48
S7 0.1841 0.5805 0.6283  2 Li 2.44, 2 In 2.47-2.48
S8 0.6841 0.4195 0.3717  2 Li 2.44, 2 In 2.47-2.48

=====

(11)
VASP calculation (r²SCAN) on a relaxed Li2SmIn crystal.

Computed properties:
Formation energy from the elements in eV per atom: -0.404
Calculated volume in A^3/atom: 20.65
VASP energy in eV/cell: -58.702

Cell: 4.8881 4.8881 4.8881 Å, 60.00 60.00 60.00°
Closest atoms and distances in Å follow each position.
Positions (direct):
Li1 0.0000 0.0000 0.0000  4 Sm 2.99, 4 In 2.99
Li2 0.5000 0.5000 0.5000  4 In 2.99, 4 Sm 2.99
Sm1 0.7500 0.7500 0.7500  8 Li 2.99
In1 0.2500 0.2500 0.2500  8 Li 2.99

=====

(12)
VASP calculation (r²SCAN) on a relaxed LiTbIn2 crystal.

Computed properties:
Formation energy from the elements in eV per atom: -0.495
Calculated volume in A^3/atom: 23.56
VASP energy in eV/cell: -80.751

Cell: 5.1080 5.1080 5.1080 Å, 60.00 60.00 60.00°
Closest atoms and distances in Å follow each position.
Positions (direct):
Li1 0.5000 0.5000 0.5000  8 In 3.13
Tb1 0.0000 0.0000 0.0000  8 In 3.13
In1 0.2500 0.2500 0.2500  4 Tb 3.13, 4 Li 3.13
In2 0.7500 0.7500 0.7500  4 Li 3.13, 4 Tb 3.13

=====

(13)
VASP calculation (r²SCAN) on a relaxed LiTmIn2 crystal.

Computed properties:
Formation energy from the elements in eV per atom: -0.464
Calculated volume in A^3/atom: 22.92
VASP energy in eV/cell: -84.520

Cell: 5.0616 5.0616 5.0616 Å, 60.00 60.00 60.00°
Closest atoms and distances in Å follow each position.
Positions (direct):
Li1 0.5000 0.5000 0.5000  8 In 3.10
Tm1 0.0000 0.0000 0.0000  8 In 3.10
In1 0.2500 0.2500 0.2500  4 Li 3.10, 4 Tm 3.10
In2 0.7500 0.7500 0.7500  4 Li 3.10, 4 Tm 3.10